YC3O8 | PBE | relaxed

Output
Polymorph energy (0 for the lowest one) ... 0 meV/atom
Space group ... P2_12_12_1
Total energy ... -7.7903 eV per atom
E_form ... -25.24 eV/f.u.

```
48
Lattice="7.287 0.000 0.000 0.000 8.513 0.000 0.000 0.000 12.949" Properties=species:S:1:pos:R:3 pbc="T T T"
Y 1.746 0.276 3.849
Y 1.898 8.237 10.324
Y 5.389 3.980 9.100
Y 5.541 4.532 2.625
C 0.190 5.448 9.868
C 0.293 1.974 1.342
C 0.683 6.699 0.578
C 2.961 1.814 7.052
C 3.351 6.538 7.816
C 3.453 3.065 3.393
C 3.834 7.321 3.081
C 3.936 2.282 11.608
C 4.326 6.070 12.371
C 6.604 2.442 5.897
C 6.994 6.231 5.133
C 7.097 1.192 9.556
O 0.147 5.962 1.318
O 0.256 4.615 8.876
O 0.371 7.237 4.699
O 0.471 0.914 2.062
O 0.784 1.994 0.172
O 0.938 1.240 8.897
O 1.194 6.181 10.185
O 1.205 7.431 12.779
O 2.439 1.082 6.304
O 2.449 2.332 3.711
O 2.705 7.273 2.422
O 2.859 6.518 6.647
O 3.172 7.599 8.537
O 3.273 1.276 11.174
O 3.388 3.898 2.402
O 3.497 2.551 7.792
O 3.790 6.807 11.632
O 3.899 8.154 4.073
O 4.014 5.532 8.250
O 4.115 3.342 10.887
O 4.428 2.262 12.777
O 4.582 3.016 4.052
O 4.838 6.588 2.764
O 4.848 5.338 0.170
O 6.083 3.175 6.645
O 6.093 1.925 9.238
O 6.349 5.496 10.527
O 6.503 6.251 6.302
O 6.816 5.170 4.412
O 6.917 2.980 1.775
O 7.031 0.358 10.547
O 7.140 1.705 5.157
```